No. 1
{
  "formula": "U3Si",
  "functional": "r2SCAN",
  "state": "optimized geometry",
  "lattice_angstrom": [[1.327, 2.895, 5.080], [-5.769, 1.496, 0.653], [1.546, -5.753, -0.660]],
  "species": ["U", "U", "U", "U", "U", "U", "Si", "Si"],
  "fractional_positions": [[0.714, 0.715, 0.000], [0.286, 0.285, 0.000], [0.233, 0.768, 0.000], [0.767, 0.232, 0.000], [0.234, 0.234, 0.469], [0.766, 0.766, 0.531], [0.249, 0.749, 0.499], [0.751, 0.251, 0.501]],
  "relative_energy_ev_per_atom": 0.000,
  "spacegroup": "No. 12",
  "e_tot_ev_per_atom": -62.420
}


No. 2
{
  "formula": "USi2",
  "functional": "r2SCAN",
  "state": "optimized geometry",
  "lattice_angstrom": [[4.051, 0.000, 0.000], [-2.025, 3.508, 0.000], [0.000, 0.000, 3.866]],
  "species": ["U", "Si", "Si"],
  "fractional_positions": [[0.000, 0.000, 0.000], [0.667, 0.333, 0.500], [0.333, 0.667, 0.500]],
  "spacegroup": "No. 191",
  "e_tot_ev_per_atom": -32.885
}


no.,volume (Å³ per atom),energy of formation from the pure elements (eV/atom)
1,19.05,-0.2704
2,18.31,-0.3881